Entry 1:
Below is crystalline LaZnFeWO6 at its relaxed geometry, with properties calculated at the PBE+U level.

a = 5.5607 Å, b = 5.9633 Å, c = 7.8214 Å
α = 90.05°, β = 90.29°, γ = 90.01°
Space group P1 (No. 1)
Unique sites:
1 La 0.0000 0.0000 0.0000 [1 per cell]
2 La 0.5002 0.3787 0.5004 [1 per cell]
3 Zn 0.0044 0.0526 0.5050 [1 per cell]
4 Zn 0.5045 0.3266 0.0054 [1 per cell]
5 Fe 0.4811 0.9142 0.2545 [1 per cell]
6 Fe 0.9815 0.4654 0.7547 [1 per cell]
7 W 0.4784 0.9151 0.7482 [1 per cell]
8 W 0.9790 0.4632 0.2479 [1 per cell]
9 O 0.0747 0.4308 0.5003 [1 per cell]
10 O 0.1511 0.7276 0.2080 [1 per cell]
11 O 0.1756 0.7570 0.8042 [1 per cell]
12 O 0.2753 0.2582 0.1909 [1 per cell]
13 O 0.3076 0.2216 0.8015 [1 per cell]
14 O 0.3491 0.9738 0.5041 [1 per cell]
15 O 0.5753 0.9467 0.0002 [1 per cell]
16 O 0.6514 0.6505 0.7089 [1 per cell]
17 O 0.6744 0.6200 0.3041 [1 per cell]
18 O 0.7746 0.1193 0.6904 [1 per cell]
19 O 0.8077 0.1567 0.3011 [1 per cell]
20 O 0.8492 0.4040 0.0037 [1 per cell]

Calculated values
crystal system = triclinic
magnetic moment = 0.300 μB per atom
ΔH_f (0 K) = -2.368 eV per atom
calculated volume = 12.968 A^3/atom



Entry 2:
Below is crystalline Mg14TiCoO16 at its relaxed geometry, with properties calculated at the PBE+U level.

a = 4.2602 Å, b = 8.5497 Å, c = 8.5661 Å
α = 90.00°, β = 90.00°, γ = 90.00°
Space group Pmmm (No. 47)
Unique sites:
1 Mg 0.0000 0.0000 0.0000 [1 per cell]
2 Mg 0.0000 0.2430 0.2496 [4 per cell]
3 Mg 0.0000 0.5000 0.0000 [1 per cell]
4 Mg 0.5000 0.0000 0.2538 [2 per cell]
5 Mg 0.5000 0.2401 0.5000 [2 per cell]
6 Mg 0.5000 0.2478 0.0000 [2 per cell]
7 Mg 0.5000 0.5000 0.2474 [2 per cell]
8 Ti 0.0000 0.5000 0.5000 [1 per cell]
9 Co 0.0000 0.0000 0.5000 [1 per cell]
10 O 0.0000 0.0000 0.2376 [2 per cell]
11 O 0.0000 0.2539 0.0000 [2 per cell]
12 O 0.0000 0.2661 0.5000 [2 per cell]
13 O 0.0000 0.5000 0.2521 [2 per cell]
14 O 0.5000 0.0000 0.0000 [1 per cell]
15 O 0.5000 0.0000 0.5000 [1 per cell]
16 O 0.5000 0.2513 0.2515 [4 per cell]
17 O 0.5000 0.5000 0.0000 [1 per cell]
18 O 0.5000 0.5000 0.5000 [1 per cell]

Calculated values
crystal system = orthorhombic
magnetic moment = 0.094 μB per atom
ΔH_f (0 K) = -2.899 eV per atom
calculated volume = 9.750 A^3/atom



Entry 3:
Below is crystalline Y2Mn3O9 at its relaxed geometry, with properties calculated at the PBE+U level.

a = 3.9877 Å, b = 13.3756 Å, c = 12.4774 Å
α = 90.00°, β = 90.00°, γ = 90.00°
Space group Cmc2_1 (No. 36)
Unique sites:
1 Y 0.0000 0.0271 0.0000 [4 per cell]
2 Y 0.0000 0.2996 0.0375 [4 per cell]
3 Mn 0.0000 0.1397 0.2795 [4 per cell]
4 Mn 0.0000 0.1963 0.7696 [4 per cell]
5 Mn 0.0000 0.4692 0.2515 [4 per cell]
6 O 0.0000 0.0233 0.7600 [4 per cell]
7 O 0.0000 0.1336 0.4311 [4 per cell]
8 O 0.0000 0.1506 0.1290 [4 per cell]
9 O 0.0000 0.1772 0.9181 [4 per cell]
10 O 0.0000 0.2027 0.6233 [4 per cell]
11 O 0.0000 0.3076 0.2613 [4 per cell]
12 O 0.0000 0.3469 0.7841 [4 per cell]
13 O 0.0000 0.4670 0.1009 [4 per cell]
14 O 0.0000 0.4709 0.4018 [4 per cell]

Calculated values
crystal system = orthorhombic
magnetic moment = 0.643 μB per atom
ΔH_f (0 K) = -2.391 eV per atom
calculated volume = 11.884 A^3/atom



Entry 4:
Below is crystalline ZnNiP2WO9 at its relaxed geometry, with properties calculated at the PBE+U level.

a = 6.4682 Å, b = 7.6859 Å, c = 14.5100 Å
α = 90.00°, β = 90.00°, γ = 90.00°
Space group P2_12_12_1 (No. 19)
Unique sites:
1 Zn 0.2479 0.2201 0.3163 [4 per cell]
2 Ni 0.0015 0.7505 0.9997 [4 per cell]
3 P 0.2470 0.0979 0.0713 [4 per cell]
4 P 0.2482 0.3730 0.6904 [4 per cell]
5 W 0.2480 0.3862 0.8826 [4 per cell]
6 O 0.0450 0.3657 0.6328 [4 per cell]
7 O 0.0485 0.6322 0.1320 [4 per cell]
8 O 0.0652 0.8733 0.6348 [4 per cell]
9 O 0.0675 0.1254 0.1363 [4 per cell]
10 O 0.2485 0.5407 0.7539 [4 per cell]
11 O 0.2494 0.0858 0.5269 [4 per cell]
12 O 0.2486 0.2326 0.9924 [4 per cell]
13 O 0.2485 0.3721 0.4351 [4 per cell]
14 O 0.2488 0.7720 0.2649 [4 per cell]

Calculated values
crystal system = orthorhombic
magnetic moment = 0.286 μB per atom
ΔH_f (0 K) = -2.202 eV per atom
calculated volume = 12.881 A^3/atom



Entry 5:
Below is crystalline NaCo4C3O15 at its relaxed geometry, with properties calculated at the PBE+U level.

a = 10.0234 Å, b = 6.2009 Å, c = 10.0425 Å
α = 90.00°, β = 119.83°, γ = 90.00°
Space group P2_1 (No. 4)
Unique sites:
1 Na 0.0015 0.0000 0.0006 [2 per cell]
2 Co 0.0007 0.8897 0.4956 [2 per cell]
3 Co 0.3338 0.7213 0.6679 [2 per cell]
4 Co 0.4946 0.8899 0.9990 [2 per cell]
5 Co 0.4957 0.3904 0.4948 [2 per cell]
6 C 0.2111 0.1436 0.7687 [2 per cell]
7 C 0.2307 0.1450 0.4413 [2 per cell]
8 C 0.4423 0.6442 0.2113 [2 per cell]
9 O 0.0880 0.7495 0.2053 [2 per cell]
10 O 0.0892 0.7489 0.9048 [2 per cell]
11 O 0.0930 0.1470 0.4196 [2 per cell]
12 O 0.1256 0.6385 0.5233 [2 per cell]
13 O 0.1392 0.3215 0.7124 [2 per cell]
14 O 0.1754 0.9604 0.6945 [2 per cell]
15 O 0.1822 0.2522 0.1052 [2 per cell]
16 O 0.2879 0.3231 0.4286 [2 per cell]
17 O 0.3040 0.9609 0.4780 [2 per cell]
18 O 0.3268 0.1462 0.9056 [2 per cell]
19 O 0.3989 0.6385 0.8747 [2 per cell]
20 O 0.4195 0.6465 0.3266 [2 per cell]
21 O 0.4294 0.8226 0.1414 [2 per cell]
22 O 0.4752 0.6390 0.6011 [2 per cell]
23 O 0.4794 0.4603 0.1749 [2 per cell]

Calculated values
crystal system = monoclinic
magnetic moment = 0.494 μB per atom
ΔH_f (0 K) = -1.053 eV per atom
calculated volume = 11.772 A^3/atom



Entry 6:
Below is crystalline Li9Mn2Co5O16 at its relaxed geometry, with properties calculated at the PBE+U level.

a = 3.0282 Å, b = 9.9956 Å, c = 10.7620 Å
α = 115.02°, β = 95.36°, γ = 92.02°
Space group P-1 (No. 2)
Unique sites:
1 Li 0.0000 0.0000 0.0000 [1 per cell]
2 Li 0.1191 0.9335 0.2453 [2 per cell]
3 Li 0.1250 0.4360 0.2464 [2 per cell]
4 Li 0.3794 0.3098 0.7500 [2 per cell]
5 Li 0.3857 0.8169 0.7592 [2 per cell]
6 Mn 0.2626 0.3726 0.4985 [2 per cell]
7 Co 0.0000 0.5000 0.0000 [1 per cell]
8 Co 0.2417 0.8781 0.5029 [2 per cell]
9 Co 0.4995 0.2426 0.0012 [2 per cell]
10 O 0.0829 0.2212 0.1136 [2 per cell]
11 O 0.0965 0.7085 0.1135 [2 per cell]
12 O 0.1420 0.6670 0.3835 [2 per cell]
13 O 0.2159 0.1598 0.3830 [2 per cell]
14 O 0.3011 0.0868 0.6145 [2 per cell]
15 O 0.3389 0.5860 0.6166 [2 per cell]
16 O 0.4410 0.0556 0.8857 [2 per cell]
17 O 0.4544 0.5466 0.8913 [2 per cell]

Calculated values
crystal system = triclinic
magnetic moment = 0.361 μB per atom
ΔH_f (0 K) = -1.779 eV per atom
calculated volume = 9.152 A^3/atom